No. 1
VASP calculation (PBE-GGA) on Na2LaTiP3O12 after structural relaxation.

POSCAR file:
```
Na2LaTiP3O12
1.0
9.296 -0.018 -0.011
-4.664 8.042 0.011
-0.030 0.017 23.080
Na O P Ti La
12 72 18 6 6
direct
0.666 0.331 0.840
0.976 0.303 0.417
0.642 0.636 0.751
0.999 0.998 0.506
0.309 0.970 0.084
0.697 0.024 0.917
0.030 0.691 0.584
0.002 0.001 0.006
0.333 0.665 0.173
0.669 0.334 0.340
0.364 0.358 0.251
0.335 0.667 0.673
0.794 0.797 0.908
0.982 0.785 0.801
0.210 0.000 0.913
0.215 0.018 0.301
0.168 0.202 0.695
0.862 0.475 0.417
0.333 0.457 0.080
0.649 0.118 0.135
0.195 0.141 0.084
0.627 0.483 0.926
0.870 0.540 0.741
0.147 0.640 0.366
0.517 0.373 0.426
0.543 0.667 0.580
0.184 0.706 0.759
0.127 0.464 0.575
0.837 0.291 0.526
0.453 0.111 0.636
0.529 0.808 0.750
0.786 0.777 0.303
0.192 0.471 0.250
0.889 0.547 0.136
0.980 0.200 0.907
0.882 0.351 0.635
0.027 0.187 0.200
0.467 0.354 0.740
0.223 0.214 0.803
0.693 0.520 0.533
0.501 0.869 0.362
0.120 0.444 0.970
0.184 0.045 0.585
0.337 0.881 0.975
0.043 0.830 0.693
0.813 0.973 0.700
0.119 0.663 0.475
0.556 0.880 0.470
0.170 0.957 0.193
0.000 0.790 0.413
0.464 0.165 0.529
0.646 0.533 0.240
0.376 0.496 0.360
0.961 0.150 0.592
0.859 0.805 0.584
0.851 0.379 0.919
0.294 0.816 0.259
0.453 0.329 0.142
0.955 0.816 0.085
0.666 0.123 0.747
0.480 0.307 0.033
0.313 0.866 0.574
0.709 0.163 0.026
0.460 0.130 0.241
0.621 0.149 0.419
0.315 0.452 0.468
0.360 0.853 0.866
0.536 0.873 0.075
0.798 0.832 0.195
0.004 0.214 0.309
0.131 0.499 0.862
0.134 0.687 0.074
0.671 0.547 0.642
0.800 0.020 0.407
0.548 0.685 0.968
0.850 0.039 0.092
0.525 0.138 0.917
0.877 0.334 0.247
0.203 0.206 0.408
0.835 0.536 0.029
0.288 0.482 0.752
0.518 0.712 0.252
0.504 0.624 0.860
0.786 0.996 0.809
0.351 0.046 0.582
0.954 0.649 0.082
0.696 0.977 0.752
0.023 0.304 0.252
0.362 0.310 0.085
0.029 0.644 0.419
0.288 0.315 0.748
0.019 0.717 0.747
0.617 0.647 0.914
0.353 0.383 0.414
0.018 0.379 0.915
0.950 0.314 0.581
0.356 0.971 0.919
0.685 0.712 0.248
0.621 0.982 0.415
0.686 0.050 0.081
0.283 0.981 0.247
0.690 0.638 0.585
0.671 0.357 0.985
0.643 0.329 0.485
0.005 0.024 0.652
0.338 0.690 0.318
0.310 0.662 0.818
0.976 0.995 0.152
0.016 0.004 0.853
0.663 0.318 0.686
0.349 0.671 0.519
0.682 0.337 0.186
0.329 0.651 0.019
0.996 0.984 0.353
```

Computed properties:
Energy with MP2020 corrections   -0.28489 hartree per atom
Calculated total energy   -7.318 eV/atom
Formation energy from the elements   -5422 kJ/mol of formula units

No. 2
VASP calculation (PBE-GGA) on SeO2F2 after structural relaxation.

POSCAR file:
```
SeO2F2
1.0
-5.794 0.000 1.498
0.039 0.000 -8.286
0.000 -15.889 0.000
Se O F
8 16 16
direct
0.949 0.321 0.642
0.659 0.782 0.591
0.659 0.282 0.909
0.341 0.718 0.091
0.341 0.218 0.409
0.051 0.679 0.358
0.051 0.179 0.142
0.949 0.821 0.858
0.591 0.582 0.598
0.272 0.257 0.200
0.961 0.812 0.959
0.728 0.243 0.700
0.961 0.312 0.541
0.039 0.688 0.459
0.898 0.411 0.883
0.409 0.918 0.098
0.591 0.082 0.902
0.039 0.188 0.041
0.272 0.757 0.300
0.898 0.911 0.617
0.102 0.589 0.117
0.102 0.089 0.383
0.409 0.418 0.402
0.728 0.743 0.800
0.813 0.736 0.316
0.187 0.764 0.816
0.594 0.333 0.011
0.564 0.146 0.364
0.055 0.530 0.670
0.813 0.236 0.184
0.406 0.167 0.511
0.945 0.470 0.330
0.187 0.264 0.684
0.945 0.970 0.170
0.436 0.854 0.636
0.406 0.667 0.989
0.564 0.646 0.136
0.055 0.030 0.830
0.436 0.354 0.864
0.594 0.833 0.489
```

Computed properties:
Energy with MP2020 corrections   -0.17792 hartree per atom
Calculated total energy   -4.382 eV/atom
Formation energy from the elements   -674 kJ/mol of formula units

No. 3
VASP calculation (PBE-GGA) on Tl9SbTe6 after structural relaxation.

POSCAR file:
```
Tl9SbTe6
1.0
-4.477 4.168 6.582
-5.599 -6.999 0.623
24.521 -17.162 27.548
Tl Sb Te
54 6 36
direct
0.855 0.351 0.448
0.146 0.354 0.719
0.646 0.148 0.614
0.145 0.649 0.552
0.143 0.650 0.219
0.649 0.855 0.552
0.351 0.145 0.552
0.649 0.855 0.448
0.500 0.500 0.334
0.646 0.146 0.719
0.650 0.857 0.219
0.854 0.646 0.719
0.857 0.350 0.781
0.354 0.852 0.052
0.852 0.646 0.948
0.652 0.857 0.886
0.148 0.354 0.948
0.348 0.143 0.886
0.852 0.646 0.052
0.646 0.148 0.386
0.646 0.146 0.281
0.000 0.000 0.000
0.354 0.854 0.719
0.145 0.649 0.448
0.351 0.145 0.448
0.857 0.350 0.219
0.148 0.354 0.052
0.000 0.000 0.166
0.143 0.652 0.886
0.143 0.652 0.114
0.146 0.354 0.281
0.354 0.852 0.948
0.148 0.354 0.614
0.852 0.646 0.386
0.854 0.646 0.281
0.000 0.000 0.500
0.652 0.857 0.114
0.350 0.143 0.219
0.350 0.143 0.781
0.650 0.857 0.781
0.646 0.148 0.948
0.855 0.351 0.552
0.500 0.500 0.666
0.000 0.000 0.834
0.143 0.650 0.781
0.857 0.348 0.114
0.354 0.852 0.614
0.354 0.854 0.281
0.857 0.348 0.886
0.852 0.646 0.614
0.348 0.143 0.114
0.354 0.852 0.386
0.646 0.148 0.052
0.148 0.354 0.386
0.500 0.500 0.830
0.000 0.000 0.668
0.500 0.500 0.000
0.000 0.000 0.332
0.500 0.500 0.170
0.500 0.500 0.500
0.500 0.500 0.920
0.820 0.350 0.000
0.648 0.180 0.167
0.180 0.650 0.000
0.000 0.000 0.588
0.649 0.180 0.500
0.500 0.500 0.578
0.679 0.851 0.333
0.500 0.500 0.243
0.820 0.649 0.500
0.351 0.820 0.500
0.851 0.321 0.667
0.350 0.180 0.000
0.149 0.679 0.333
0.500 0.500 0.080
0.352 0.820 0.833
0.648 0.180 0.833
0.000 0.000 0.257
0.820 0.648 0.833
0.650 0.820 0.000
0.000 0.000 0.915
0.000 0.000 0.412
0.000 0.000 0.085
0.679 0.851 0.667
0.820 0.648 0.167
0.352 0.820 0.167
0.321 0.149 0.667
0.321 0.149 0.333
0.000 0.000 0.743
0.180 0.352 0.167
0.500 0.500 0.422
0.180 0.352 0.833
0.180 0.351 0.500
0.851 0.321 0.333
0.500 0.500 0.757
0.149 0.679 0.667
```

Computed properties:
Energy with MP2020 corrections   -0.11785 hartree per atom
Calculated total energy   -3.049 eV/atom
Formation energy from the elements   -681 kJ/mol of formula units

No. 4
VASP calculation (PBE-GGA) on NbHO3 after structural relaxation.

POSCAR file:
```
NbHO3
1.0
-4.612 -1.572 4.680
1.694 -5.637 -3.387
5.469 2.591 3.030
O Nb H
12 4 4
direct
0.478 0.300 0.188
0.798 0.116 0.315
0.204 0.905 0.692
0.202 0.519 0.320
0.914 0.724 0.196
0.082 0.280 0.801
0.797 0.494 0.697
0.698 0.218 0.915
0.523 0.728 0.805
0.278 0.792 0.071
0.716 0.786 0.501
0.324 0.210 0.523
0.536 0.530 0.536
0.459 0.968 0.983
0.985 0.968 0.476
0.980 0.455 0.975
0.822 0.262 0.441
0.180 0.629 0.438
0.443 0.182 0.627
0.517 0.398 0.114
```

Computed properties:
Energy with MP2020 corrections   -0.29881 hartree per atom
Calculated total energy   -7.719 eV/atom
Formation energy from the elements   -1188 kJ/mol of formula units

Which value of formation energy from the elements does entry 3 give?
-681 kJ/mol of formula units